A relaxed structure of Fe3SiNi, computed with GGA-PBE.

- Crystal system: cubic
- Formation enthalpy at 0 K: -24.9 kJ per mole of atoms
- E_tot: -151.61 eV per cell
- Theoretical density: 7.4 g/cm³

Unit cell a=6.110 b=6.110 c=6.110 alpha=90.00 beta=90.00 gamma=90.00
Space group P2_13 (No. 198)
Inequivalent atoms, fractional coordinates:
Fe: 0.046 0.122 0.794 x12
Si: 0.065 0.935 0.435 x4
Ni: 0.185 0.185 0.185 x4

A relaxed structure of Na5Nb3Si6GeO24, computed with GGA-PBE.

- Crystal system: triclinic
- Formation enthalpy at 0 K: -279.4 kJ per mole of atoms
- E_tot: -867.82 eV per cell
- Theoretical density: 3.3 g/cm³

Unit cell a=8.938 b=8.959 c=22.413 alpha=89.73 beta=89.91 gamma=60.14
Space group P1 (No. 1)
Inequivalent atoms, fractional coordinates:
Na: 0.000 0.000 0.000 x1
Na: 0.001 0.632 0.747 x1
Na: 0.005 0.366 0.246 x1
Na: 0.012 0.992 0.496 x1
Na: 0.032 0.670 0.412 x1
Na: 0.300 0.666 0.918 x1
Na: 0.334 0.334 0.328 x1
Na: 0.345 0.325 0.831 x1
Na: 0.364 0.005 0.746 x1
Na: 0.632 0.001 0.246 x1
Na: 0.653 0.676 0.165 x1
Na: 0.656 0.665 0.665 x1
Na: 0.668 0.298 0.413 x1
Na: 0.700 0.334 0.085 x1
Na: 0.965 0.333 0.584 x1
Nb: 0.000 0.996 0.642 x1
Nb: 0.008 0.994 0.144 x1
Nb: 0.332 0.329 0.978 x1
Nb: 0.335 0.330 0.478 x1
Nb: 0.661 0.671 0.521 x1
Nb: 0.664 0.667 0.310 x1
Nb: 0.667 0.664 0.811 x1
Nb: 0.668 0.671 0.024 x1
Nb: 0.994 0.005 0.854 x1
Si: 0.004 0.290 0.746 x1
Si: 0.014 0.707 0.252 x1
Si: 0.051 0.335 0.088 x1
Si: 0.052 0.616 0.585 x1
Si: 0.283 0.006 0.251 x1
Si: 0.291 0.701 0.748 x1
Si: 0.331 0.615 0.085 x1
Si: 0.340 0.047 0.587 x1
Si: 0.368 0.680 0.415 x1
Si: 0.380 0.957 0.915 x1
Si: 0.613 0.050 0.088 x1
Si: 0.613 0.335 0.585 x1
Si: 0.671 0.375 0.919 x1
Si: 0.671 0.956 0.414 x1
Si: 0.701 0.013 0.748 x1
Si: 0.708 0.284 0.250 x1
Si: 0.955 0.667 0.916 x1
Si: 0.958 0.368 0.415 x1
Ge: 0.003 0.000 0.352 x1
Ge: 0.334 0.336 0.188 x1
Ge: 0.337 0.333 0.687 x1
O: 0.022 0.167 0.089 x1
O: 0.031 0.807 0.589 x1
O: 0.034 0.797 0.312 x1
O: 0.035 0.161 0.803 x1
O: 0.135 0.493 0.644 x1
O: 0.137 0.360 0.148 x1
O: 0.144 0.359 0.421 x1
O: 0.148 0.498 0.920 x1
O: 0.154 0.042 0.308 x1
O: 0.162 0.806 0.090 x1
O: 0.163 0.033 0.588 x1
O: 0.163 0.530 0.523 x1
O: 0.165 0.312 0.027 x1
O: 0.171 0.792 0.808 x1
O: 0.177 0.309 0.744 x1
O: 0.177 0.847 0.409 x1
O: 0.178 0.513 0.244 x1
O: 0.193 0.966 0.909 x1
O: 0.195 0.836 0.693 x1
O: 0.196 0.975 0.192 x1
O: 0.301 0.516 0.742 x1
O: 0.306 0.177 0.246 x1
O: 0.307 0.534 0.022 x1
O: 0.309 0.170 0.528 x1
O: 0.355 0.503 0.421 x1
O: 0.360 0.145 0.922 x1
O: 0.363 0.133 0.647 x1
O: 0.372 0.486 0.141 x1
O: 0.468 0.698 0.474 x1
O: 0.474 0.829 0.972 x1
O: 0.478 0.692 0.754 x1
O: 0.479 0.836 0.255 x1
O: 0.493 0.364 0.643 x1
O: 0.493 0.867 0.855 x1
O: 0.495 0.364 0.921 x1
O: 0.501 0.132 0.148 x1
O: 0.501 0.640 0.359 x1
O: 0.503 0.149 0.421 x1
O: 0.505 0.634 0.079 x1
O: 0.508 0.857 0.578 x1
O: 0.509 0.179 0.744 x1
O: 0.517 0.301 0.244 x1
O: 0.524 0.172 0.028 x1
O: 0.531 0.311 0.523 x1
O: 0.636 0.858 0.078 x1
O: 0.643 0.502 0.578 x1
O: 0.643 0.502 0.861 x1
O: 0.643 0.867 0.355 x1
O: 0.688 0.836 0.753 x1
O: 0.695 0.463 0.979 x1
O: 0.697 0.473 0.256 x1
O: 0.702 0.828 0.471 x1
O: 0.796 0.161 0.310 x1
O: 0.802 0.030 0.806 x1
O: 0.803 0.035 0.090 x1
O: 0.810 0.166 0.588 x1
O: 0.831 0.202 0.191 x1
O: 0.832 0.973 0.691 x1
O: 0.835 0.689 0.974 x1
O: 0.836 0.461 0.474 x1
O: 0.836 0.483 0.754 x1
O: 0.836 0.690 0.255 x1
O: 0.842 0.187 0.910 x1
O: 0.846 0.972 0.410 x1
O: 0.855 0.503 0.081 x1
O: 0.862 0.631 0.577 x1
O: 0.864 0.646 0.855 x1
O: 0.867 0.496 0.357 x1
O: 0.966 0.183 0.408 x1
O: 0.970 0.837 0.195 x1
O: 0.974 0.203 0.687 x1
O: 0.978 0.836 0.911 x1

A relaxed structure of Rb2TlGaF6, computed with GGA-PBE.

- Crystal system: cubic
- Formation enthalpy at 0 K: -273.6 kJ per mole of atoms
- E_tot: -177.70 eV per cell
- Theoretical density: 4.8 g/cm³

Unit cell a=9.191 b=9.191 c=9.191 alpha=90.00 beta=90.00 gamma=90.00
Space group Fm-3m (No. 225)
Inequivalent atoms, fractional coordinates:
Rb: 0.250 0.250 0.250 x8
Tl: 0.000 0.000 0.000 x4
Ga: 0.000 0.000 0.500 x4
F: 0.000 0.000 0.290 x24

A relaxed structure of Y2Fe3N4, computed with GGA-PBE.

- Crystal system: monoclinic
- Formation enthalpy at 0 K: -74.1 kJ per mole of atoms
- E_tot: -308.64 eV per cell
- Theoretical density: 6.1 g/cm³

Unit cell a=9.655 b=7.385 c=6.445 alpha=90.00 beta=106.78 gamma=90.00
Space group C2/c (No. 15)
Inequivalent atoms, fractional coordinates:
Y: 0.198 0.105 0.227 x8
Fe: 0.000 0.248 0.750 x4
Fe: 0.033 0.375 0.426 x8
N: 0.109 0.168 0.558 x8
N: 0.135 0.407 0.989 x8

A relaxed structure of CaUO4, computed with GGA-PBE.

- Crystal system: tetragonal
- Formation enthalpy at 0 K: -348.2 kJ per mole of atoms
- E_tot: -51.99 eV per cell
- Theoretical density: 7.5 g/cm³

Unit cell a=3.718 b=3.718 c=5.481 alpha=90.00 beta=90.00 gamma=90.00
Space group P4/mmm (No. 123)
Inequivalent atoms, fractional coordinates:
Ca: 0.000 0.000 0.000 x1
U: 0.500 0.500 0.500 x1
O: 0.000 0.500 0.277 x4

A relaxed structure of Ca2GeS4, computed with GGA-PBE.

- Crystal system: orthorhombic
- Formation enthalpy at 0 K: -162.4 kJ per mole of atoms
- E_tot: -139.79 eV per cell
- Theoretical density: 2.6 g/cm³

Unit cell a=13.824 b=8.247 c=6.364 alpha=90.00 beta=90.00 gamma=90.00
Space group Pnma (No. 62)
Inequivalent atoms, fractional coordinates:
Ca: 0.000 0.000 0.000 x4
Ca: 0.226 0.250 0.485 x4
Ge: 0.095 0.750 0.406 x4
S: 0.056 0.250 0.730 x4
S: 0.094 0.750 0.755 x4
S: 0.169 0.537 0.257 x8

A relaxed structure of HoCuS2, computed with GGA-PBE.

- Crystal system: orthorhombic
- Formation enthalpy at 0 K: -156.6 kJ per mole of atoms
- E_tot: -89.76 eV per cell
- Theoretical density: 5.9 g/cm³

Unit cell a=3.946 b=6.248 c=13.418 alpha=90.00 beta=90.00 gamma=90.00
Space group P2_12_12_1 (No. 19)
Inequivalent atoms, fractional coordinates:
Ho: 0.242 0.248 0.367 x4
Cu: 0.233 0.871 0.549 x4
S: 0.241 0.496 0.538 x4
S: 0.243 0.016 0.706 x4

A relaxed structure of Ca3Sn2S7, computed with GGA-PBE.

- Crystal system: orthorhombic
- Formation enthalpy at 0 K: -132.5 kJ per mole of atoms
- Excess energy over the best structure of this formula in the dataset: 151 meV per atom
- E_tot: -223.79 eV per cell
- Theoretical density: 3.3 g/cm³

Unit cell a=24.008 b=7.033 c=6.929 alpha=90.00 beta=90.00 gamma=90.00
Space group Cmcm (No. 63)
Inequivalent atoms, fractional coordinates:
Ca: 0.000 0.209 0.250 x4
Ca: 0.187 0.228 0.250 x8
Sn: 0.103 0.257 0.750 x8
S: 0.000 0.379 0.750 x4
S: 0.073 0.000 0.000 x8
S: 0.137 0.500 0.000 x8
S: 0.204 0.154 0.750 x8

A relaxed structure of PuH2, computed with GGA-PBE.

- Crystal system: cubic
- Formation enthalpy at 0 K: -47.0 kJ per mole of atoms
- E_tot: -88.63 eV per cell
- Theoretical density: 10.6 g/cm³

Unit cell a=5.357 b=5.357 c=5.357 alpha=90.00 beta=90.00 gamma=90.00
Space group Fm-3m (No. 225)
Inequivalent atoms, fractional coordinates:
Pu: 0.000 0.000 0.000 x4
H: 0.250 0.250 0.250 x8

A relaxed structure of AgSbPb2S4, computed with GGA-PBE.

- Crystal system: tetragonal
- Formation enthalpy at 0 K: -51.7 kJ per mole of atoms
- E_tot: -66.42 eV per cell
- Theoretical density: 6.4 g/cm³

Unit cell a=5.747 b=5.747 c=12.078 alpha=90.00 beta=90.00 gamma=90.00
Space group I4/mmm (No. 139)
Inequivalent atoms, fractional coordinates:
Ag: 0.000 0.000 0.000 x2
Sb: 0.000 0.000 0.500 x2
Pb: 0.000 0.500 0.250 x4
S: 0.000 0.000 0.275 x4
S: 0.000 0.500 0.000 x4

Question: Number 4 is which compound?
Answer: Y2Fe3N4

Question: Which of these has the lowest E_tot?
Answer: Na5Nb3Si6GeO24